Crystalline K10Mn4Sn4S17 at its relaxed geometry, computed with GGA-PBE.

Results
- SG: R3m (160)
- Crystal system: trigonal
- MP2020-corrected energy: -0.182 Ha/atom
- M_tot: 0.571 μB/atom

Unit cell a=10.175 b=10.175 c=10.175 alpha=89.51 beta=89.51 gamma=89.51
Fractional positions:
Mn 0.136 0.864 0.136
Mn 0.864 0.864 0.864
Mn 0.864 0.136 0.136
Mn 0.136 0.136 0.864
K 0.498 0.498 0.956
K 0.498 0.956 0.498
K 0.330 0.656 0.330
K 0.000 0.000 0.499
K 0.000 0.499 0.000
K 0.956 0.498 0.498
K 0.330 0.330 0.656
K 0.656 0.330 0.330
K 0.499 0.000 0.000
K 0.671 0.671 0.671
Sn 0.225 0.775 0.775
Sn 0.775 0.775 0.225
Sn 0.775 0.225 0.775
Sn 0.224 0.224 0.224
S 0.274 0.274 0.993
S 0.367 0.644 0.644
S 0.725 0.725 0.996
S 0.274 0.993 0.274
S 0.724 0.274 0.005
S 0.005 0.274 0.724
S 0.274 0.005 0.724
S 0.644 0.644 0.367
S 0.644 0.367 0.644
S 0.724 0.005 0.274
S 0.725 0.996 0.725
S 0.999 0.999 0.999
S 0.005 0.724 0.274
S 0.274 0.724 0.005
S 0.357 0.357 0.357
S 0.993 0.274 0.274
S 0.996 0.725 0.725


Crystalline KMnSb at its relaxed geometry, computed with GGA-PBE.

Results
- SG: P4/nmm (129)
- Crystal system: tetragonal
- MP2020-corrected energy: -0.184 Ha/atom
- M_tot: 1.500 μB/atom

Unit cell a=4.669 b=4.669 c=8.298 alpha=90.00 beta=90.00 gamma=90.00
Fractional positions:
K 0.500 0.000 0.654
K 0.000 0.500 0.346
Mn 0.500 0.500 0.000
Mn 0.000 0.000 0.000
Sb 0.000 0.500 0.814
Sb 0.500 0.000 0.186


Crystalline K6MnSe4 at its relaxed geometry, computed with GGA-PBE.

Results
- SG: P6_3mc (186)
- Crystal system: hexagonal
- Maximum piezoelectric response: 0.32 C/m²
- MP2020-corrected energy: -0.144 Ha/atom

Unit cell a=10.312 b=10.312 c=8.059 alpha=90.00 beta=90.00 gamma=120.00
Fractional positions:
K 0.146 0.293 0.542
K 0.854 0.146 0.042
K 0.529 0.058 0.367
K 0.471 0.942 0.867
K 0.707 0.854 0.542
K 0.471 0.529 0.867
K 0.942 0.471 0.367
K 0.058 0.529 0.867
K 0.146 0.854 0.542
K 0.293 0.146 0.042
K 0.854 0.707 0.042
K 0.529 0.471 0.367
Mn 0.667 0.333 0.753
Mn 0.333 0.667 0.253
Se 0.804 0.609 0.653
Se 0.333 0.667 0.574
Se 0.804 0.196 0.653
Se 0.196 0.391 0.153
Se 0.196 0.804 0.153
Se 0.667 0.333 0.074
Se 0.609 0.804 0.153
Se 0.391 0.196 0.653


Crystalline K2MnSe2 at its relaxed geometry, computed with GGA-PBE.

Results
- SG: Ibam (72)
- Crystal system: orthorhombic
- MP2020-corrected energy: -0.176 Ha/atom

Unit cell a=8.248 b=8.248 c=8.248 alpha=133.03 beta=128.62 gamma=72.14
Fractional positions:
Mn 0.000 0.750 0.750
Mn 0.000 0.250 0.250
K 0.521 0.855 0.667
K 0.188 0.355 0.833
K 0.479 0.145 0.333
K 0.812 0.645 0.167
Se 0.300 0.605 0.695
Se 0.090 0.895 0.195
Se 0.910 0.105 0.805
Se 0.700 0.395 0.305


Crystalline KMnSe2 at its relaxed geometry, computed with GGA-PBE.

Results
- SG: I-4m2 (119)
- Crystal system: tetragonal
- MP2020-corrected energy: -0.193 Ha/atom

Unit cell a=7.427 b=7.427 c=7.427 alpha=149.01 beta=149.01 gamma=44.39
Fractional positions:
Se 0.354 0.354 0.000
Se 0.646 0.646 0.000
K 0.000 0.000 0.000
Mn 0.250 0.750 0.500


Crystalline K2MnSn2Se6 at its relaxed geometry, computed with GGA-PBE.

Results
- SG: P4/ncc (130)
- Crystal system: tetragonal
- MP2020-corrected energy: -0.170 Ha/atom
- M_tot: 0.456 μB/atom

Unit cell a=8.429 b=8.429 c=19.944 alpha=90.00 beta=90.00 gamma=90.00
Fractional positions:
Se 0.663 0.337 0.250
Se 0.678 0.655 0.418
Se 0.678 0.345 0.918
Se 0.655 0.678 0.082
Se 0.822 0.845 0.582
Se 0.345 0.322 0.082
Se 0.845 0.178 0.418
Se 0.655 0.322 0.582
Se 0.837 0.163 0.750
Se 0.345 0.678 0.582
Se 0.155 0.822 0.418
Se 0.337 0.337 0.750
Se 0.845 0.822 0.918
Se 0.322 0.345 0.418
Se 0.163 0.837 0.750
Se 0.322 0.655 0.918
Se 0.337 0.663 0.250
Se 0.163 0.163 0.250
Se 0.178 0.845 0.082
Se 0.663 0.663 0.750
Se 0.178 0.155 0.582
Se 0.837 0.837 0.250
Se 0.155 0.178 0.918
Se 0.822 0.155 0.082
K 0.000 0.500 0.526
K 0.500 0.000 0.474
K 0.500 0.000 0.974
K 0.000 0.500 0.821
K 0.000 0.500 0.026
K 0.500 0.000 0.679
K 0.500 0.000 0.179
K 0.000 0.500 0.321
Mn 0.000 0.000 0.500
Mn 0.500 0.500 0.000
Mn 0.000 0.000 0.000
Mn 0.500 0.500 0.500
Sn 0.500 0.500 0.838
Sn 0.000 0.000 0.662
Sn 0.000 0.000 0.162
Sn 0.000 0.000 0.838
Sn 0.500 0.500 0.162
Sn 0.000 0.000 0.338
Sn 0.500 0.500 0.338
Sn 0.500 0.500 0.662


Crystalline K2MnSnSe4 at its relaxed geometry, computed with GGA-PBE.

Results
- SG: P-4n2 (118)
- Crystal system: tetragonal
- MP2020-corrected energy: -0.173 Ha/atom

Unit cell a=10.743 b=10.743 c=8.420 alpha=90.00 beta=90.00 gamma=90.00
Fractional positions:
Se 0.695 0.029 0.071
Se 0.029 0.305 0.929
Se 0.065 0.788 0.393
Se 0.471 0.805 0.429
Se 0.565 0.712 0.893
Se 0.788 0.935 0.607
Se 0.935 0.212 0.393
Se 0.805 0.529 0.571
Se 0.195 0.471 0.571
Se 0.288 0.565 0.107
Se 0.305 0.971 0.071
Se 0.212 0.065 0.607
Se 0.971 0.695 0.929
Se 0.529 0.195 0.429
Se 0.712 0.435 0.107
Se 0.435 0.288 0.893
Mn 0.000 0.500 0.750
Mn 0.000 0.000 0.500
Mn 0.500 0.500 0.000
Mn 0.500 0.000 0.250
K 0.247 0.253 0.250
K 0.500 0.500 0.500
K 0.000 0.500 0.250
K 0.753 0.747 0.250
K 0.500 0.000 0.750
K 0.747 0.247 0.750
K 0.253 0.753 0.750
K 0.000 0.000 0.000
Sn 0.222 0.278 0.750
Sn 0.278 0.778 0.250
Sn 0.778 0.722 0.750
Sn 0.722 0.222 0.250


Crystalline K2MnTe2 at its relaxed geometry, computed with GGA-PBE.

Results
- SG: Ibam (72)
- Crystal system: orthorhombic
- MP2020-corrected energy: -0.165 Ha/atom

Unit cell a=8.804 b=8.804 c=8.804 alpha=133.11 beta=129.58 gamma=71.31
Fractional positions:
K 0.465 0.143 0.323
K 0.820 0.643 0.177
K 0.180 0.357 0.823
K 0.535 0.857 0.677
Mn 0.000 0.750 0.750
Mn 0.000 0.250 0.250
Te 0.090 0.892 0.197
Te 0.305 0.608 0.697
Te 0.910 0.108 0.803
Te 0.695 0.392 0.303


Crystalline K6MnTe4 at its relaxed geometry, computed with GGA-PBE.

Results
- SG: P6_3mc (186)
- Crystal system: hexagonal
- Maximum piezoelectric response: 0.23 C/m²
- MP2020-corrected energy: -0.134 Ha/atom

Unit cell a=11.009 b=11.009 c=8.511 alpha=90.00 beta=90.00 gamma=120.00
Fractional positions:
K 0.948 0.474 0.365
K 0.526 0.474 0.365
K 0.852 0.148 0.045
K 0.526 0.052 0.365
K 0.705 0.852 0.545
K 0.148 0.852 0.545
K 0.852 0.705 0.045
K 0.052 0.526 0.865
K 0.474 0.948 0.865
K 0.148 0.295 0.545
K 0.474 0.526 0.865
K 0.295 0.148 0.045
Te 0.333 0.667 0.577
Te 0.805 0.611 0.648
Te 0.667 0.333 0.077
Te 0.389 0.195 0.648
Te 0.611 0.805 0.148
Te 0.195 0.389 0.148
Te 0.805 0.195 0.648
Te 0.195 0.805 0.148
Mn 0.333 0.667 0.250
Mn 0.667 0.333 0.750


Crystalline K3Mo at its relaxed geometry, computed with GGA-PBE.

Results
- SG: I4/mmm (139)
- Crystal system: tetragonal
- Offset from the most stable computed form: 2 meV per atom
- M_tot: 1.241 μB/atom

Unit cell a=6.850 b=6.850 c=6.850 alpha=127.67 beta=127.67 gamma=77.16
Fractional positions:
K 0.500 0.500 0.000
K 0.250 0.750 0.500
K 0.750 0.250 0.500
Mo 0.000 0.000 0.000


Crystalline K3Mo at its relaxed geometry, computed with GGA-PBE.

Results
- SG: Pm-3m (221)
- Crystal system: cubic
- Offset from the most stable computed form: 16 meV per atom
- M_tot: 1.305 μB/atom

Unit cell a=5.884 b=5.884 c=5.884 alpha=90.00 beta=90.00 gamma=90.00
Fractional positions:
K 0.000 0.500 0.500
K 0.500 0.000 0.500
K 0.500 0.500 0.000
Mo 0.000 0.000 0.000


Crystalline K3Mo at its relaxed geometry, computed with GGA-PBE.

Results
- SG: Fm-3m (225)
- Crystal system: cubic
- Offset from the most stable computed form: 0 meV per atom
- M_tot: 1.217 μB/atom

Unit cell a=6.539 b=6.539 c=6.539 alpha=60.00 beta=60.00 gamma=60.00
Fractional positions:
K 0.500 0.500 0.500
K 0.250 0.250 0.250
K 0.750 0.750 0.750
Mo 0.000 0.000 0.000


Crystalline KMoN2 at its relaxed geometry, computed with GGA-PBE.

Results
- SG: Pbca (61)
- Crystal system: orthorhombic
- MP2020-corrected energy: -0.284 Ha/atom
- M_tot: 0.000 μB/atom

Unit cell a=5.851 b=11.869 c=16.995 alpha=90.00 beta=90.00 gamma=90.00
Fractional positions:
N 0.849 0.878 0.375
N 0.038 0.002 0.784
N 0.007 0.203 0.999
N 0.538 0.002 0.716
N 0.843 0.362 0.866
N 0.538 0.498 0.216
N 0.157 0.862 0.634
N 0.038 0.498 0.284
N 0.493 0.797 0.499
N 0.962 0.998 0.216
N 0.651 0.122 0.875
N 0.349 0.878 0.125
N 0.962 0.502 0.716
N 0.151 0.378 0.125
N 0.843 0.138 0.366
N 0.993 0.703 0.501
N 0.493 0.703 0.999
N 0.507 0.203 0.501
N 0.657 0.638 0.366
N 0.507 0.297 0.001
N 0.151 0.122 0.625
N 0.657 0.862 0.866
N 0.157 0.638 0.134
N 0.462 0.502 0.784
N 0.007 0.297 0.499
N 0.993 0.797 0.001
N 0.462 0.998 0.284
N 0.849 0.622 0.875
N 0.349 0.622 0.625
N 0.343 0.138 0.134
N 0.651 0.378 0.375
N 0.343 0.362 0.634
K 0.243 0.753 0.314
K 0.243 0.999 0.938
K 0.743 0.747 0.686
K 0.757 0.001 0.062
K 0.743 0.753 0.186
K 0.757 0.499 0.562
K 0.257 0.253 0.314
K 0.257 0.001 0.438
K 0.743 0.999 0.562
K 0.243 0.501 0.438
K 0.757 0.253 0.186
K 0.257 0.247 0.814
K 0.243 0.747 0.814
K 0.257 0.499 0.938
K 0.757 0.247 0.686
K 0.743 0.501 0.062
Mo 0.752 0.246 0.936
Mo 0.248 0.746 0.564
Mo 0.224 0.997 0.691
Mo 0.248 0.754 0.064
Mo 0.224 0.503 0.191
Mo 0.724 0.503 0.309
Mo 0.748 0.746 0.936
Mo 0.748 0.754 0.436
Mo 0.776 0.497 0.809
Mo 0.252 0.254 0.064
Mo 0.276 0.003 0.191
Mo 0.724 0.997 0.809
Mo 0.276 0.497 0.691
Mo 0.252 0.246 0.564
Mo 0.776 0.003 0.309
Mo 0.752 0.254 0.436


Crystalline K6MoN4 at its relaxed geometry, computed with GGA-PBE.

Results
- SG: P4_2/nmc (137)
- Crystal system: tetragonal
- MP2020-corrected energy: -0.176 Ha/atom
- M_tot: 0.000 μB/atom

Unit cell a=8.228 b=8.228 c=6.766 alpha=90.00 beta=90.00 gamma=90.00
Fractional positions:
N 0.000 0.803 0.847
N 0.000 0.197 0.847
N 0.500 0.303 0.653
N 0.197 0.000 0.153
N 0.500 0.697 0.653
N 0.697 0.500 0.347
N 0.303 0.500 0.347
N 0.803 0.000 0.153
K 0.796 0.204 0.500
K 0.296 0.704 0.000
K 0.704 0.704 0.000
K 0.204 0.204 0.500
K 0.204 0.796 0.500
K 0.796 0.796 0.500
K 0.704 0.296 0.000
K 0.500 0.000 0.821
K 0.296 0.296 0.000
K 0.000 0.500 0.679
K 0.000 0.500 0.179
K 0.500 0.000 0.321
Mo 0.500 0.500 0.500
Mo 0.000 0.000 0.000


no.,calculated total energy (eV per formula unit),calculated formation energy (eV/atom)
1,-165.2,-1.1326
2,-14.8,-0.2044
3,-41.3,-1.2157
4,-23.1,-1.1272
5,-20.0,-0.9245
6,-47.9,-0.9437
7,-35.7,-1.0234
8,-21.6,-0.9625
9,-38.5,-1.0701
10,-9.5,1.1686
11,-9.4,1.1818
12,-9.5,1.1663
13,-30.2,-0.5749
14,-51.3,-0.1731